First-principles (PBE+U) data for crystalline LiZn2Fe4O8 at its relaxed geometry, as listed in the Materials Project database.

Computed properties:
* calculated formation energy: -21.41 eV per formula unit
* ρ: 4837 kg/m3
* distance to the lowest polymorph of the same formula: 271 kJ/mol of formula units
* V: 167.9 Å³/cell
* raw total energy: -5.65 eV per atom
* crystal system: orthorhombic

Lattice parameters (Å, degrees): 6.1582 6.1582 6.1582 119.17 118.49 92.04
Element x y z (fractional)
Li  0.0000  0.0000  0.0000
Zn  0.1511  0.8726  0.2785
Zn  0.5941  0.8726  0.7215
Fe  0.1319  0.4194  0.2874
Fe  0.1319  0.8445  0.7126
Fe  0.4944  0.4944  0.0000
Fe  0.7509  0.2509  0.5000
O  0.3597  0.1211  0.2386
O  0.3666  0.1108  0.7442
O  0.3666  0.6224  0.2558
O  0.3758  0.6274  0.7485
O  0.8789  0.6274  0.2515
O  0.8825  0.1211  0.7614
O  0.8893  0.1379  0.2486
O  0.8893  0.6406  0.7514

***

First-principles (PBE+U) data for crystalline ZrNiO6F6 at its relaxed geometry, as listed in the Materials Project database.

Computed properties:
* calculated formation energy: -14.19 eV per formula unit
* ρ: 2887 kg/m3
* V: 207.0 Å³/cell
* raw total energy: -4.30 eV per atom
* crystal system: trigonal

Lattice parameters (Å, degrees): 5.9512 5.9512 5.9512 96.02 96.02 96.02
Element x y z (fractional)
Zr  0.0000  0.0000  0.0000
Ni  0.5000  0.5000  0.5000
O  0.2113  0.5598  0.3980
O  0.3980  0.2113  0.5598
O  0.4402  0.6020  0.7887
O  0.5598  0.3980  0.2113
O  0.6020  0.7887  0.4402
O  0.7887  0.4402  0.6020
F  0.0730  0.7138  0.8139
F  0.1861  0.9270  0.2862
F  0.2862  0.1861  0.9270
F  0.7138  0.8139  0.0730
F  0.8139  0.0730  0.7138
F  0.9270  0.2862  0.1861

***

First-principles (PBE+U) data for crystalline MnCoO4 at its relaxed geometry, as listed in the Materials Project database.

Computed properties:
* calculated formation energy: -8.52 eV per formula unit
* ρ: 4129 kg/m3
* V: 143.1 Å³/cell
* raw total energy: -6.42 eV per atom
* crystal system: monoclinic

Lattice parameters (Å, degrees): 2.8986 9.9147 4.9780 90.00 90.05 90.00
Element x y z (fractional)
Mn  0.1250  0.0000  0.3750
Mn  0.8750  0.5000  0.6250
Co  0.3750  0.5001  0.1249
Co  0.6250  0.0001  0.8751
O  0.1251  0.0951  0.0356
O  0.1248  0.9049  0.7145
O  0.3751  0.4038  0.7969
O  0.3749  0.5963  0.4532
O  0.6251  0.0963  0.5468
O  0.6249  0.9038  0.2031
O  0.8752  0.4049  0.2855
O  0.8749  0.5951  0.9644

***

First-principles (PBE+U) data for crystalline Li2Ni3P4O14 at its relaxed geometry, as listed in the Materials Project database.

Computed properties:
* calculated formation energy: -54.14 eV per formula unit
* ρ: 3566 kg/m3
* distance to the lowest polymorph of the same formula: 62 kJ/mol of formula units
* V: 500.9 Å³/cell
* raw total energy: -6.48 eV per atom
* crystal system: triclinic

Lattice parameters (Å, degrees): 5.2561 6.4005 15.8933 81.42 81.99 72.21
Element x y z (fractional)
Li  0.0747  0.2120  0.4875
Li  0.3554  0.6846  0.6239
Li  0.6446  0.3154  0.3761
Li  0.9253  0.7880  0.5125
Ni  0.0533  0.6383  0.3128
Ni  0.2026  0.2793  0.0927
Ni  0.2274  0.9589  0.8339
Ni  0.7726  0.0411  0.1661
Ni  0.7974  0.7207  0.9073
Ni  0.9467  0.3617  0.6872
P  0.1849  0.1093  0.2913
P  0.2987  0.7818  0.0424
P  0.3526  0.4255  0.8199
P  0.4526  0.7617  0.4272
P  0.5474  0.2383  0.5728
P  0.6474  0.5745  0.1801
P  0.7013  0.2182  0.9576
P  0.8151  0.8907  0.7087
O  0.0094  0.0243  0.7146
O  0.0318  0.3148  0.3375
O  0.1211  0.9859  0.0853
O  0.1625  0.6546  0.8387
O  0.1691  0.5979  0.0518
O  0.2020  0.2860  0.7868
O  0.2418  0.3152  0.5715
O  0.2887  0.8556  0.5084
O  0.3420  0.5877  0.4010
O  0.3586  0.1474  0.2083
O  0.3998  0.5511  0.2355
O  0.4078  0.8462  0.9502
O  0.4088  0.9724  0.3542
O  0.4261  0.2984  0.9121
O  0.5739  0.7016  0.0879
O  0.5912  0.0276  0.6458
O  0.5922  0.1538  0.0498
O  0.6002  0.4489  0.7645
O  0.6414  0.8526  0.7917
O  0.6580  0.4123  0.5990
O  0.7113  0.1444  0.4916
O  0.7582  0.6848  0.4285
O  0.7980  0.7140  0.2132
O  0.8309  0.4021  0.9482
O  0.8375  0.3454  0.1613
O  0.8789  0.0141  0.9147
O  0.9682  0.6852  0.6625
O  0.9906  0.9757  0.2854

***

First-principles (PBE+U) data for crystalline V2NO5 at its relaxed geometry, as listed in the Materials Project database.

Computed properties:
* calculated formation energy: -15.72 eV per formula unit
* ρ: 2614 kg/m3
* V: 248.9 Å³/cell
* raw total energy: -7.52 eV per atom
* crystal system: monoclinic

Lattice parameters (Å, degrees): 6.1120 6.1120 11.6552 91.90 91.90 34.89
Element x y z (fractional)
V  0.0700  0.0700  0.1580
V  0.2209  0.2209  0.8390
V  0.7791  0.7791  0.1610
V  0.9300  0.9300  0.8420
N  0.4553  0.4553  0.4815
N  0.5447  0.5447  0.5185
O  0.0611  0.0611  0.2944
O  0.0778  0.0778  0.8989
O  0.2027  0.2027  0.7027
O  0.2414  0.2414  0.1255
O  0.3924  0.3924  0.8720
O  0.6076  0.6076  0.1280
O  0.7586  0.7586  0.8745
O  0.7973  0.7973  0.2973
O  0.9222  0.9222  0.1011
O  0.9389  0.9389  0.7056

***

First-principles (PBE+U) data for crystalline KNa2FeF6 at its relaxed geometry, as listed in the Materials Project database.

Computed properties:
* calculated formation energy: -27.02 eV per formula unit
* ρ: 2638 kg/m3
* V: 160.4 Å³/cell
* raw total energy: -4.57 eV per atom
* crystal system: cubic

Lattice parameters (Å, degrees): 6.0991 6.0991 6.0991 60.00 60.00 60.00
Element x y z (fractional)
K  0.0000  0.0000  0.0000
Na  0.2500  0.2500  0.2500
Na  0.7500  0.7500  0.7500
Fe  0.5000  0.5000  0.5000
F  0.2829  0.2829  0.7171
F  0.2829  0.7171  0.2829
F  0.2829  0.7171  0.7171
F  0.7171  0.2829  0.2829
F  0.7171  0.2829  0.7171
F  0.7171  0.7171  0.2829

***

First-principles (PBE+U) data for crystalline Li9Mn2Co5O16 at its relaxed geometry, as listed in the Materials Project database.

Computed properties:
* calculated formation energy: -58.63 eV per formula unit
* ρ: 4174 kg/m3
* distance to the lowest polymorph of the same formula: 99 kJ/mol of formula units
* V: 287.7 Å³/cell
* raw total energy: -5.82 eV per atom
* crystal system: triclinic

Lattice parameters (Å, degrees): 5.0016 5.8861 10.2855 90.12 98.35 106.04
Element x y z (fractional)
Li  0.0000  0.0000  0.0000
Li  0.9999  0.2479  0.7574
Li  0.0066  0.7454  0.2380
Li  0.4878  0.6149  0.3627
Li  0.4906  0.3728  0.6227
Li  0.5058  0.1230  0.8798
Li  0.5064  0.8717  0.1206
Li  0.9963  0.4941  0.4866
Li  0.9982  0.2448  0.2444
Mn  0.4915  0.1205  0.3659
Mn  0.9918  0.9940  0.4914
Co  0.4955  0.3714  0.1269
Co  0.4968  0.8724  0.6201
Co  0.5039  0.6198  0.8760
Co  0.9947  0.7472  0.7485
Co  0.9963  0.4859  0.0035
O  0.2354  0.8292  0.4301
O  0.2384  0.0393  0.6656
O  0.2407  0.2753  0.4359
O  0.2490  0.7880  0.9263
O  0.2514  0.5874  0.6813
O  0.2589  0.3185  0.9381
O  0.2592  0.5496  0.1760
O  0.2779  0.0640  0.1971
O  0.7206  0.4067  0.3157
O  0.7336  0.1571  0.5482
O  0.7449  0.9427  0.3267
O  0.7457  0.4487  0.8102
O  0.7481  0.7113  0.5615
O  0.7489  0.6769  0.0555
O  0.7535  0.2077  0.0599
O  0.7576  0.9241  0.8035

***

First-principles (PBE+U) data for crystalline Li9Co13O28 at its relaxed geometry, as listed in the Materials Project database.

Computed properties:
* calculated formation energy: -75.92 eV per formula unit
* ρ: 4599 kg/m3
* V: 460.9 Å³/cell
* raw total energy: -5.67 eV per atom
* crystal system: triclinic

Lattice parameters (Å, degrees): 7.4412 8.0946 8.5372 101.58 104.39 105.17
Element x y z (fractional)
Li  0.0000  0.0000  0.0000
Li  0.0459  0.2026  0.7806
Li  0.1266  0.4214  0.5607
Li  0.4232  0.2695  0.7225
Li  0.5399  0.7169  0.2931
Li  0.6082  0.9380  0.0718
Li  0.7638  0.3404  0.6371
Li  0.8387  0.5663  0.4254
Li  0.9253  0.7868  0.2219
Co  0.0562  0.7165  0.7911
Co  0.1192  0.9266  0.5701
Co  0.1937  0.1409  0.3620
Co  0.2707  0.3590  0.1490
Co  0.3382  0.5675  0.9290
Co  0.4083  0.7784  0.7103
Co  0.4801  0.9910  0.4942
Co  0.5555  0.2067  0.2891
Co  0.6212  0.4172  0.0682
Co  0.6942  0.6358  0.8551
Co  0.7658  0.8574  0.6401
Co  0.9095  0.2806  0.2193
Co  0.9822  0.4961  0.0015
O  0.0007  0.2698  0.0250
O  0.0372  0.9454  0.7693
O  0.0624  0.4802  0.8019
O  0.1346  0.6982  0.5954
O  0.1395  0.1573  0.5648
O  0.1830  0.3681  0.3410
O  0.2010  0.9123  0.3772
O  0.2575  0.5787  0.1239
O  0.2810  0.1350  0.1725
O  0.3330  0.7948  0.9036
O  0.3439  0.3386  0.9494
O  0.3913  0.9999  0.6860
O  0.4197  0.5511  0.7329
O  0.4699  0.2213  0.4861
O  0.4942  0.7665  0.5177
O  0.5441  0.4392  0.2639
O  0.5452  0.9849  0.2991
O  0.6158  0.6540  0.0526
O  0.6373  0.1920  0.0957
O  0.6813  0.8603  0.8363
O  0.7057  0.4111  0.8698
O  0.7427  0.0696  0.6315
O  0.7842  0.6276  0.6671
O  0.8276  0.3146  0.4043
O  0.8558  0.8200  0.4549
O  0.8918  0.5047  0.1928
O  0.9373  0.0589  0.2210
O  0.9611  0.7245  0.9823

***

First-principles (PBE+U) data for crystalline LiMnP4O12 at its relaxed geometry, as listed in the Materials Project database.

Computed properties:
* calculated formation energy: -44.56 eV per formula unit
* ρ: 2563 kg/m3
* distance to the lowest polymorph of the same formula: 174 kJ/mol of formula units
* V: 489.5 Å³/cell
* raw total energy: -7.04 eV per atom
* crystal system: monoclinic

Lattice parameters (Å, degrees): 8.9748 8.9748 10.0299 123.76 123.76 50.11
Element x y z (fractional)
Li  0.1700  0.8300  0.7500
Li  0.8300  0.1700  0.2500
Mn  0.2888  0.7112  0.2500
Mn  0.7112  0.2888  0.7500
P  0.0392  0.6880  0.8880
P  0.2831  0.4321  0.3477
P  0.3120  0.9608  0.6120
P  0.4321  0.2831  0.8477
P  0.5679  0.7169  0.1523
P  0.6880  0.0392  0.3880
P  0.7169  0.5679  0.6523
P  0.9608  0.3120  0.1120
O  0.0219  0.7508  0.7702
O  0.0595  0.8256  0.0748
O  0.1490  0.3392  0.1658
O  0.1702  0.5911  0.4714
O  0.1744  0.9405  0.4252
O  0.2307  0.4652  0.9078
O  0.2492  0.9781  0.7298
O  0.3392  0.1490  0.6658
O  0.3801  0.4797  0.2993
O  0.4089  0.8298  0.0286
O  0.4652  0.2307  0.4078
O  0.4797  0.3801  0.7993
O  0.5203  0.6199  0.2007
O  0.5348  0.7693  0.5922
O  0.5911  0.1702  0.9714
O  0.6199  0.5203  0.7007
O  0.6608  0.8510  0.3342
O  0.7508  0.0219  0.2702
O  0.7693  0.5348  0.0922
O  0.8256  0.0595  0.5748
O  0.8298  0.4089  0.5286
O  0.8510  0.6608  0.8342
O  0.9405  0.1744  0.9252
O  0.9781  0.2492  0.2298

***

First-principles (PBE+U) data for crystalline LiVSiO4 at its relaxed geometry, as listed in the Materials Project database.

Computed properties:
* calculated formation energy: -19.84 eV per formula unit
* ρ: 3435 kg/m3
* distance to the lowest polymorph of the same formula: 3 kJ/mol of formula units
* V: 290.0 Å³/cell
* raw total energy: -7.37 eV per atom
* crystal system: orthorhombic

Lattice parameters (Å, degrees): 10.4250 5.8097 4.7880 90.00 90.00 90.00
Element x y z (fractional)
Li  0.0000  0.0000  0.0000
Li  0.0000  0.5000  0.0000
Li  0.5000  0.0000  0.5000
Li  0.5000  0.5000  0.5000
V  0.2266  0.2500  0.4956
V  0.2734  0.7500  0.9956
V  0.7266  0.2500  0.0044
V  0.7734  0.7500  0.5044
Si  0.0922  0.7500  0.4431
Si  0.4078  0.2500  0.9431
Si  0.5922  0.7500  0.0569
Si  0.9078  0.2500  0.5569
O  0.0512  0.2500  0.6919
O  0.0992  0.7500  0.7797
O  0.1734  0.5351  0.2864
O  0.1734  0.9649  0.2864
O  0.3266  0.0351  0.7864
O  0.3266  0.4649  0.7864
O  0.4008  0.2500  0.2797
O  0.4488  0.7500  0.1919
O  0.5512  0.2500  0.8081
O  0.5992  0.7500  0.7203
O  0.6734  0.5351  0.2136
O  0.6734  0.9649  0.2136
O  0.8266  0.0351  0.7136
O  0.8266  0.4649  0.7136
O  0.9008  0.2500  0.2203
O  0.9488  0.7500  0.3081

***

First-principles (PBE+U) data for crystalline Sr2MgZnMoO6 at its relaxed geometry, as listed in the Materials Project database.

Computed properties:
* calculated formation energy: -25.57 eV per formula unit
* ρ: 4583 kg/m3
* distance to the lowest polymorph of the same formula: 220 kJ/mol of formula units
* V: 165.5 Å³/cell
* raw total energy: -5.91 eV per atom
* crystal system: trigonal

Lattice parameters (Å, degrees): 6.3770 6.3770 6.3770 55.80 55.80 55.80
Element x y z (fractional)
Sr  0.0000  0.0000  0.0000
Sr  0.4118  0.4118  0.4118
Mg  0.6336  0.6336  0.6336
Zn  0.8034  0.8034  0.8034
Mo  0.2066  0.2066  0.2066
O  0.4283  0.9662  0.9662
O  0.4402  0.4402  0.9795
O  0.4402  0.9795  0.4402
O  0.9662  0.4283  0.9662
O  0.9662  0.9662  0.4283
O  0.9795  0.4402  0.4402

***

First-principles (PBE+U) data for crystalline Li3NiF6 at its relaxed geometry, as listed in the Materials Project database.

Computed properties:
* calculated formation energy: -26.80 eV per formula unit
* ρ: 3070 kg/m3
* distance to the lowest polymorph of the same formula: 0 kJ/mol of formula units
* V: 418.6 Å³/cell
* raw total energy: -4.45 eV per atom
* crystal system: orthorhombic

Lattice parameters (Å, degrees): 9.7743 8.4877 5.0459 90.00 90.00 90.00
Element x y z (fractional)
Li  0.1059  0.0459  0.0000
Li  0.1253  0.6479  0.4882
Li  0.1462  0.4521  0.9923
Li  0.3538  0.9521  0.4923
Li  0.3747  0.1479  0.9882
Li  0.3941  0.5459  0.5000
Li  0.6059  0.4541  0.0000
Li  0.6253  0.8521  0.4882
Li  0.6462  0.0479  0.9923
Li  0.8538  0.5479  0.4923
Li  0.8747  0.3521  0.9882
Li  0.8941  0.9541  0.5000
Ni  0.1280  0.2607  0.4961
Ni  0.3720  0.7607  0.9961
Ni  0.6280  0.2393  0.4961
Ni  0.8720  0.7393  0.9961
F  0.0106  0.4133  0.6748
F  0.0219  0.2547  0.1744
F  0.0265  0.0924  0.6505
F  0.2249  0.4389  0.3513
F  0.2386  0.2679  0.8106
F  0.2467  0.1133  0.3135
F  0.2533  0.6133  0.8135
F  0.2614  0.7679  0.3106
F  0.2751  0.9389  0.8513
F  0.4735  0.5924  0.1505
F  0.4781  0.7547  0.6744
F  0.4894  0.9133  0.1748
F  0.5106  0.0867  0.6748
F  0.5219  0.2453  0.1744
F  0.5265  0.4076  0.6505
F  0.7249  0.0611  0.3513
F  0.7386  0.2321  0.8106
F  0.7467  0.3867  0.3135
F  0.7533  0.8867  0.8135
F  0.7614  0.7321  0.3106
F  0.7751  0.5611  0.8513
F  0.9735  0.9076  0.1505
F  0.9781  0.7453  0.6744
F  0.9894  0.5867  0.1748